Entry 1:
## Li3La5Ti6Nb2O26 (PBE)

Data for a geometry-optimized Li3La5Ti6Nb2O26 structure.

a = 5.5480 Å, b = 11.0862 Å, c = 17.1623 Å
α = 80.96°, β = 90.00°, γ = 90.00°
Positions (direct):
Ti  0.0018  0.4717  0.1151
Ti  0.9959  0.5895  0.6369
Ti  0.0041  0.0895  0.6369
Ti  0.5026  0.7215  0.1144
Ti  0.0018  0.0283  0.8849
Ti  0.4974  0.2215  0.1144
Ti  0.9982  0.9717  0.1151
Ti  0.5026  0.7785  0.8856
Ti  0.4974  0.2785  0.8856
Ti  0.0041  0.4105  0.3631
Ti  0.9959  0.9105  0.3631
Ti  0.9982  0.5283  0.8849
Li  0.7575  0.5072  0.5006
Li  0.2224  0.7500  0.5000
Li  0.2425  0.4928  0.4994
Li  0.2425  0.0072  0.5006
Li  0.7776  0.2500  0.5000
Li  0.7575  0.9928  0.4994
O  0.4882  0.8139  0.7690
O  0.2504  0.2945  0.3340
O  0.7545  0.9575  0.6575
O  0.2448  0.1590  0.8740
O  0.7605  0.8971  0.8808
O  0.7461  0.0385  0.3412
O  0.2491  0.7080  0.6583
O  0.5137  0.3716  0.5272
O  0.9825  0.0502  0.7697
O  0.2455  0.0425  0.3425
O  0.7545  0.5425  0.3425
O  0.2395  0.5999  0.1201
O  0.7552  0.6590  0.8740
O  0.5118  0.3139  0.7690
O  0.2395  0.9001  0.8799
O  0.0175  0.9498  0.2303
O  0.7552  0.8410  0.1260
O  0.5137  0.1284  0.4728
O  0.5118  0.1861  0.2310
O  0.9926  0.3891  0.4660
O  0.7605  0.0999  0.1201
O  0.7605  0.6029  0.1192
O  0.0074  0.8891  0.4660
O  0.0000  0.5000  0.0000
O  0.7509  0.2920  0.3417
O  0.0074  0.6109  0.5340
O  0.2539  0.5385  0.3412
O  0.7496  0.7945  0.3340
O  0.7635  0.1614  0.8793
O  0.4863  0.6284  0.4728
O  0.9825  0.4498  0.2303
O  0.2365  0.8386  0.1207
O  0.4882  0.6861  0.2310
O  0.2539  0.9615  0.6588
O  0.7509  0.2080  0.6583
O  0.0175  0.5502  0.7697
O  0.2504  0.2055  0.6660
O  0.7635  0.3386  0.1207
O  0.5050  0.2500  0.0000
O  0.7496  0.7055  0.6660
O  0.9926  0.1109  0.5340
O  0.2455  0.4575  0.6575
O  0.2365  0.6614  0.8793
O  0.4950  0.7500  0.0000
O  0.7605  0.4001  0.8799
O  0.2491  0.7920  0.3417
O  0.7461  0.4615  0.6588
O  0.2395  0.3971  0.8808
O  0.4863  0.8716  0.5272
O  0.0000  0.0000  0.0000
O  0.2395  0.1029  0.1192
O  0.2448  0.3410  0.1260
La  0.0062  0.6894  0.2356
La  0.9885  0.2500  0.0000
La  0.5069  0.0555  0.7631
La  0.5069  0.4445  0.2369
La  0.0062  0.8106  0.7644
La  0.4931  0.9445  0.2369
La  0.0115  0.7500  0.0000
La  0.9938  0.3106  0.7644
La  0.4931  0.5555  0.7631
La  0.9938  0.1894  0.2356
Nb  0.4959  0.3379  0.6350
Nb  0.5041  0.8379  0.6350
Nb  0.4959  0.1621  0.3650
Nb  0.5041  0.6621  0.3650

- spin magnetization (μB per cell) = 0.0

---

Entry 2:
## Li8La4TiNb7O28 (PBE)

Data for a geometry-optimized Li8La4TiNb7O28 structure.

a = 5.6581 Å, b = 5.6581 Å, c = 18.4509 Å
α = 89.98°, β = 89.98°, γ = 89.95°
Positions (direct):
Nb  0.2479  0.2479  0.6159
Nb  0.2480  0.2480  0.3850
Nb  0.7522  0.7522  0.3866
Nb  0.2523  0.7476  0.1156
Nb  0.7477  0.2523  0.8841
Nb  0.2523  0.7477  0.8841
Nb  0.7476  0.2523  0.1156
Li  0.5009  0.9990  0.2515
Li  0.5067  0.5067  0.7323
Li  0.9967  0.9967  0.7612
Li  0.9959  0.5048  0.7461
Li  0.5012  0.5012  0.2654
Li  0.9990  0.5009  0.2515
Li  0.5048  0.9959  0.7461
Li  0.9991  0.9991  0.2368
La  0.7416  0.2609  0.5058
La  0.7598  0.7598  0.9999
La  0.2609  0.7416  0.5058
La  0.2402  0.2402  0.9999
O  0.7260  0.2737  0.2176
O  0.2738  0.7261  0.7824
O  0.4993  0.4993  0.3787
O  0.1990  0.8010  0.0001
O  0.0003  0.0003  0.4171
O  0.4993  0.0004  0.4026
O  0.0004  0.4993  0.4026
O  0.7713  0.7713  0.7137
O  0.9982  0.5009  0.5970
O  0.5000  0.5000  0.0827
O  0.9992  0.9992  0.5845
O  0.5000  0.0000  0.0958
O  0.2992  0.2992  0.4998
O  0.9999  0.9999  0.1200
O  0.8010  0.1990  0.0001
O  0.5009  0.9982  0.5970
O  0.9999  0.5001  0.9046
O  0.7734  0.7734  0.2833
O  0.5001  0.5001  0.9175
O  0.9997  0.9997  0.8806
O  0.5001  0.9999  0.9046
O  0.2257  0.2257  0.2823
O  0.5008  0.5008  0.6175
O  0.7261  0.2738  0.7824
O  0.6990  0.6990  0.4996
O  0.2737  0.7260  0.2176
O  0.2270  0.2270  0.7180
O  0.0000  0.5000  0.0958
Ti  0.7518  0.7518  0.6155

- spin magnetization (μB per cell) = 0.0

---

Entry 3:
## Li2La3Ti2Nb2O13 (PBE)

Data for a geometry-optimized Li2La3Ti2Nb2O13 structure.

a = 17.0799 Å, b = 17.0799 Å, c = 17.0799 Å
α = 166.53°, β = 166.53°, γ = 19.09°
Positions (direct):
Li  0.2500  0.7500  0.5000
Li  0.7500  0.2500  0.5000
Ti  0.0583  0.0583  0.0000
Ti  0.9417  0.9417  0.0000
O  0.0581  0.5581  0.5000
O  0.2363  0.2363  0.0000
O  0.8833  0.8833  0.0000
O  0.3293  0.8293  0.5000
O  0.9419  0.4419  0.5000
O  0.8293  0.3293  0.5000
O  0.1167  0.1167  0.0000
O  0.4419  0.9419  0.5000
O  0.0000  0.0000  0.0000
O  0.5581  0.0581  0.5000
O  0.6707  0.1707  0.5000
O  0.7637  0.7637  0.0000
O  0.1707  0.6707  0.5000
Nb  0.1798  0.1798  0.0000
Nb  0.8202  0.8202  0.0000
La  0.5000  0.5000  0.0000
La  0.6194  0.6194  0.0000
La  0.3806  0.3806  0.0000

- spin magnetization (μB per cell) = 0.1

---

Entry 4:
## Li5La4TiNb7O28 (PBE)

Data for a geometry-optimized Li5La4TiNb7O28 structure.

a = 5.5917 Å, b = 5.5949 Å, c = 19.0061 Å
α = 89.89°, β = 89.95°, γ = 89.97°
Positions (direct):
O  0.0008  0.9998  0.8786
O  0.5001  0.0001  0.9037
O  0.5001  0.4999  0.0838
O  0.2821  0.2816  0.2137
O  0.2640  0.2981  0.7866
O  0.3059  0.6928  0.5005
O  0.6971  0.3035  0.5020
O  0.5008  0.0006  0.4059
O  0.9995  0.4994  0.4057
O  0.0000  0.9997  0.1193
O  0.2204  0.7801  0.2878
O  0.9998  0.0003  0.4168
O  0.5010  0.4992  0.3778
O  0.4988  0.5001  0.6204
O  0.2067  0.7573  0.7097
O  0.4984  0.9972  0.5973
O  0.5000  0.5002  0.9166
O  0.0012  0.4999  0.5957
O  0.0001  0.5002  0.9055
O  0.8068  0.8058  0.9983
O  0.5000  0.9999  0.0937
O  0.7809  0.2193  0.2866
O  0.7951  0.2408  0.7145
O  0.7179  0.7178  0.2137
O  0.0005  0.9981  0.5858
O  0.7373  0.7036  0.7866
O  0.0001  0.4999  0.0940
O  0.1932  0.1943  0.9983
Li  0.0010  0.9986  0.2434
Li  0.4982  0.5015  0.2670
Li  0.0057  0.9968  0.7547
Li  0.4930  0.5101  0.7294
Li  0.0026  0.5031  0.7420
Nb  0.7538  0.2463  0.3812
Nb  0.2535  0.2533  0.8816
Nb  0.7459  0.7459  0.1204
Nb  0.7498  0.2445  0.6174
Nb  0.2460  0.7545  0.3828
Nb  0.2542  0.2538  0.1204
Nb  0.7467  0.7473  0.8816
La  0.7647  0.2367  0.0012
La  0.2595  0.2647  0.5048
La  0.2353  0.7635  0.0011
La  0.7363  0.7378  0.5049
Ti  0.2451  0.7521  0.6170

- spin magnetization (μB per cell) = 0.0

---

Entry 5:
## Li2La3Ti2Nb2O13 (PBE)

Data for a geometry-optimized Li2La3Ti2Nb2O13 structure.

a = 17.0973 Å, b = 17.0973 Å, c = 4.0130 Å
α = 83.40°, β = 83.40°, γ = 13.47°
Positions (direct):
O  0.6749  0.6749  0.8271
O  0.5622  0.5622  0.9403
O  0.1207  0.1207  0.8759
O  0.2403  0.2403  0.7576
O  0.7685  0.7685  0.2309
O  0.8879  0.8879  0.1123
O  0.3341  0.3341  0.1735
O  0.0616  0.0616  0.4397
O  0.8335  0.8335  0.6712
O  0.0042  0.0042  0.0037
O  0.1749  0.1749  0.3249
O  0.9468  0.9468  0.5570
O  0.4460  0.4460  0.0574
Ti  0.0623  0.0623  0.9389
Ti  0.9460  0.9460  0.0573
La  0.5039  0.5039  0.4884
La  0.6239  0.6239  0.3764
La  0.3847  0.3847  0.6305
Nb  0.1838  0.1838  0.8167
Nb  0.8251  0.8251  0.1806
Li  0.2544  0.2544  0.2481
Li  0.7546  0.7546  0.7435

- spin magnetization (μB per cell) = 0.0

---

Entry 6:
## Li3La5Ti6Nb2O26 (PBE)

Data for a geometry-optimized Li3La5Ti6Nb2O26 structure.

a = 5.5336 Å, b = 5.5313 Å, c = 17.2570 Å
α = 81.00°, β = 90.00°, γ = 90.00°
Positions (direct):
O  0.2495  0.4168  0.6603
O  0.0026  0.8881  0.2290
O  0.4982  0.3840  0.2297
O  0.7592  0.1993  0.1211
O  0.7592  0.8007  0.8789
O  0.2401  0.2007  0.1200
O  0.0094  0.7801  0.4642
O  0.2401  0.7993  0.8800
O  0.7507  0.4141  0.6640
O  0.5004  0.5000  0.0000
O  0.2405  0.3211  0.8791
O  0.2405  0.6789  0.1209
O  0.4876  0.2553  0.4704
O  0.2495  0.5832  0.3397
O  0.9998  0.0000  0.0000
O  0.0094  0.2199  0.5358
O  0.4982  0.6160  0.7703
O  0.7512  0.9202  0.6602
O  0.7599  0.6788  0.1208
O  0.2513  0.9189  0.6632
O  0.7507  0.5859  0.3360
O  0.2513  0.0811  0.3368
O  0.0026  0.1119  0.7710
O  0.4876  0.7447  0.5296
O  0.7512  0.0798  0.3398
O  0.7599  0.3212  0.8792
Ti  0.5003  0.5574  0.8863
Ti  0.9997  0.8202  0.3616
Ti  0.5003  0.4426  0.1137
Ti  0.9998  0.0576  0.8855
Ti  0.9997  0.1798  0.6384
Ti  0.9998  0.9424  0.1145
Li  0.2288  0.5000  0.5000
Li  0.2426  0.0000  0.5000
Li  0.7591  0.0000  0.5000
La  0.0021  0.6180  0.7658
La  0.0010  0.5000  0.0000
La  0.0021  0.3820  0.2342
La  0.4987  0.1155  0.7646
La  0.4987  0.8845  0.2354
Nb  0.5029  0.3228  0.3630
Nb  0.5029  0.6772  0.6370

- spin magnetization (μB per cell) = 0.0

---

no.,total energy after the MP2020 corrections (eV per atom),energy of formation from the pure elements (eV per atom)
1,-8.856,-3.460
2,-8.384,-3.131
3,-8.707,-3.300
4,-8.688,-3.211
5,-8.718,-3.311
6,-8.857,-3.461